Below is crystalline Li7Si2 at its relaxed geometry, with properties calculated at the PBE level.

Computed properties:
For the formation energy from the elements, the calculation gives -198 meV per atom. The calculation puts the total energy at -2.9043 eV per atom. As for the energy with MP2020 corrections: -2.89 eV per atom.

Unit cell a=8.046 b=14.912 c=4.476 alpha=90.00 beta=90.00 gamma=90.00
Space group Pbam (No. 55)
Asymmetric unit:
Li 0.000 0.000 0.000 (multiplicity 2)
Li 0.000 0.500 0.500 (multiplicity 2)
Li 0.086 0.242 0.500 (multiplicity 4)
Li 0.116 0.810 0.000 (multiplicity 4)
Li 0.121 0.644 0.500 (multiplicity 4)
Li 0.174 0.512 0.000 (multiplicity 4)
Li 0.204 0.166 0.000 (multiplicity 4)
Li 0.234 0.897 0.500 (multiplicity 4)
Si 0.057 0.346 0.000 (multiplicity 4)
Si 0.102 0.064 0.500 (multiplicity 4)